# 1
First-principles (r2SCAN) data for GdOF after structural relaxation, as listed in the Materials Project database.

Lattice parameters (Å, degrees): 3.895 3.895 5.550 90.00 90.00 90.00
Positions (direct):
1 Gd 0.000 0.500 0.713
2 Gd 0.500 0.000 0.287
3 O 0.000 0.000 0.500
4 O 0.500 0.500 0.500
5 F 0.000 0.000 0.000
6 F 0.500 0.500 0.000

Properties
Energy of formation from the pure elements ... -4107.2 meV per atom

# 2
First-principles (r2SCAN) data for Gd3Se4O12F after structural relaxation, as listed in the Materials Project database.

Lattice parameters (Å, degrees): 10.457 10.457 6.908 90.00 90.00 120.00
Positions (direct):
1 Gd 0.075 0.538 0.416
2 Gd 0.538 0.462 0.916
3 Gd 0.538 0.075 0.916
4 Gd 0.925 0.462 0.916
5 Gd 0.462 0.538 0.416
6 Gd 0.462 0.925 0.416
7 Se 0.690 0.845 0.648
8 Se 0.310 0.155 0.148
9 Se 0.333 0.667 0.982
10 Se 0.845 0.155 0.148
11 Se 0.155 0.310 0.648
12 Se 0.155 0.845 0.648
13 Se 0.667 0.333 0.482
14 Se 0.845 0.690 0.148
15 O 0.918 0.334 0.220
16 O 0.582 0.418 0.593
17 O 0.584 0.918 0.720
18 O 0.635 0.817 0.412
19 O 0.666 0.082 0.220
20 O 0.334 0.918 0.720
21 O 0.416 0.082 0.220
22 O 0.817 0.635 0.912
23 O 0.666 0.584 0.220
24 O 0.183 0.817 0.412
25 O 0.082 0.416 0.720
26 O 0.418 0.582 0.093
27 O 0.582 0.164 0.593
28 O 0.817 0.183 0.912
29 O 0.334 0.416 0.720
30 O 0.365 0.183 0.912
31 O 0.418 0.836 0.093
32 O 0.082 0.666 0.720
33 O 0.416 0.334 0.220
34 O 0.164 0.582 0.093
35 O 0.584 0.666 0.720
36 O 0.183 0.365 0.412
37 O 0.836 0.418 0.593
38 O 0.918 0.584 0.220
39 F 0.333 0.667 0.464
40 F 0.667 0.333 0.964

Properties
Energy of formation from the pure elements ... -2183.8 meV per atom

# 3
First-principles (r2SCAN) data for GdPtF7 after structural relaxation, as listed in the Materials Project database.

Lattice parameters (Å, degrees): 5.493 8.923 12.002 62.02 90.00 90.00
Positions (direct):
1 Gd 0.761 0.812 0.764
2 Gd 0.261 0.188 0.736
3 Gd 0.239 0.188 0.236
4 Gd 0.739 0.812 0.264
5 Pt 0.757 0.272 0.957
6 Pt 0.257 0.728 0.543
7 Pt 0.243 0.728 0.043
8 Pt 0.743 0.272 0.457
9 F 0.433 0.707 0.914
10 F 0.933 0.293 0.586
11 F 0.567 0.293 0.086
12 F 0.067 0.707 0.414
13 F 0.441 0.278 0.540
14 F 0.941 0.722 0.960
15 F 0.559 0.722 0.460
16 F 0.059 0.278 0.040
17 F 0.770 0.518 0.860
18 F 0.270 0.482 0.640
19 F 0.230 0.482 0.140
20 F 0.730 0.518 0.360
21 F 0.756 0.026 0.050
22 F 0.256 0.974 0.450
23 F 0.244 0.974 0.950
24 F 0.744 0.026 0.550
25 F 0.960 0.726 0.632
26 F 0.460 0.274 0.868
27 F 0.040 0.274 0.368
28 F 0.540 0.726 0.132
29 F 0.059 0.743 0.175
30 F 0.559 0.257 0.325
31 F 0.941 0.257 0.825
32 F 0.441 0.743 0.675
33 F 0.400 0.964 0.231
34 F 0.900 0.036 0.269
35 F 0.600 0.036 0.769
36 F 0.100 0.964 0.731

Properties
Energy of formation from the pure elements ... -2772.8 meV per atom

Question: Among the records above, which one has the lowest energy of formation from the pure elements?
Answer: GdOF

Repeat the second record exactly.
First-principles (r2SCAN) data for Gd3Se4O12F after structural relaxation, as listed in the Materials Project database.

Lattice parameters (Å, degrees): 10.457 10.457 6.908 90.00 90.00 120.00
Positions (direct):
1 Gd 0.075 0.538 0.416
2 Gd 0.538 0.462 0.916
3 Gd 0.538 0.075 0.916
4 Gd 0.925 0.462 0.916
5 Gd 0.462 0.538 0.416
6 Gd 0.462 0.925 0.416
7 Se 0.690 0.845 0.648
8 Se 0.310 0.155 0.148
9 Se 0.333 0.667 0.982
10 Se 0.845 0.155 0.148
11 Se 0.155 0.310 0.648
12 Se 0.155 0.845 0.648
13 Se 0.667 0.333 0.482
14 Se 0.845 0.690 0.148
15 O 0.918 0.334 0.220
16 O 0.582 0.418 0.593
17 O 0.584 0.918 0.720
18 O 0.635 0.817 0.412
19 O 0.666 0.082 0.220
20 O 0.334 0.918 0.720
21 O 0.416 0.082 0.220
22 O 0.817 0.635 0.912
23 O 0.666 0.584 0.220
24 O 0.183 0.817 0.412
25 O 0.082 0.416 0.720
26 O 0.418 0.582 0.093
27 O 0.582 0.164 0.593
28 O 0.817 0.183 0.912
29 O 0.334 0.416 0.720
30 O 0.365 0.183 0.912
31 O 0.418 0.836 0.093
32 O 0.082 0.666 0.720
33 O 0.416 0.334 0.220
34 O 0.164 0.582 0.093
35 O 0.584 0.666 0.720
36 O 0.183 0.365 0.412
37 O 0.836 0.418 0.593
38 O 0.918 0.584 0.220
39 F 0.333 0.667 0.464
40 F 0.667 0.333 0.964

Properties
Energy of formation from the pure elements ... -2183.8 meV per atom

Question: Which formula does entry 2 have?
Answer: Gd3Se4O12F

Copy entry 2 word for word.
First-principles (r2SCAN) data for Gd3Se4O12F after structural relaxation, as listed in the Materials Project database.

Lattice parameters (Å, degrees): 10.457 10.457 6.908 90.00 90.00 120.00
Positions (direct):
1 Gd 0.075 0.538 0.416
2 Gd 0.538 0.462 0.916
3 Gd 0.538 0.075 0.916
4 Gd 0.925 0.462 0.916
5 Gd 0.462 0.538 0.416
6 Gd 0.462 0.925 0.416
7 Se 0.690 0.845 0.648
8 Se 0.310 0.155 0.148
9 Se 0.333 0.667 0.982
10 Se 0.845 0.155 0.148
11 Se 0.155 0.310 0.648
12 Se 0.155 0.845 0.648
13 Se 0.667 0.333 0.482
14 Se 0.845 0.690 0.148
15 O 0.918 0.334 0.220
16 O 0.582 0.418 0.593
17 O 0.584 0.918 0.720
18 O 0.635 0.817 0.412
19 O 0.666 0.082 0.220
20 O 0.334 0.918 0.720
21 O 0.416 0.082 0.220
22 O 0.817 0.635 0.912
23 O 0.666 0.584 0.220
24 O 0.183 0.817 0.412
25 O 0.082 0.416 0.720
26 O 0.418 0.582 0.093
27 O 0.582 0.164 0.593
28 O 0.817 0.183 0.912
29 O 0.334 0.416 0.720
30 O 0.365 0.183 0.912
31 O 0.418 0.836 0.093
32 O 0.082 0.666 0.720
33 O 0.416 0.334 0.220
34 O 0.164 0.582 0.093
35 O 0.584 0.666 0.720
36 O 0.183 0.365 0.412
37 O 0.836 0.418 0.593
38 O 0.918 0.584 0.220
39 F 0.333 0.667 0.464
40 F 0.667 0.333 0.964

Properties
Energy of formation from the pure elements ... -2183.8 meV per atom